[1]
Compound: Nb2Cr4Si5
Source: Materials Project
Functional: PBE
Structure: optimized geometry

Unit cell a=9.0787 b=9.0787 c=9.0787 alpha=131.11 beta=59.05 gamma=148.97
Closest atoms and distances in Å follow each position.
Sites, in units of the cell vectors:
Nb 0.1413 0.1200 0.2613  7 Si 2.58-2.75
Nb 0.3587 0.6200 0.9787  7 Si 2.58-2.75
Nb 0.6413 0.3800 0.0213  7 Si 2.58-2.75
Nb 0.8587 0.8800 0.7387  7 Si 2.58-2.75
Cr 0.0576 0.7500 0.3076  6 Si 2.42-2.53, 2 Cr 2.43
Cr 0.0609 0.7447 0.8056  5 Si 2.35-2.47
Cr 0.4391 0.2447 0.6839  5 Si 2.35-2.47
Cr 0.4424 0.7500 0.6924  6 Si 2.42-2.53, 2 Cr 2.43
Cr 0.5576 0.2500 0.3076  6 Si 2.42-2.53, 2 Cr 2.43
Cr 0.5609 0.7553 0.3161  5 Si 2.35-2.47
Cr 0.9391 0.2553 0.1944  5 Si 2.35-2.47
Cr 0.9424 0.2500 0.6924  6 Si 2.42-2.53, 2 Cr 2.43
Si 0.0650 0.4229 0.4879  4 Cr 2.35-2.42, 1 Si 2.36, 1 Nb 2.58
Si 0.2118 0.7919 0.0037  5 Cr 2.41-2.53, 1 Nb 2.66
Si 0.2500 0.2500 0.0000  2 Si 2.43, 4 Cr 2.47, 4 Nb 2.70
Si 0.2882 0.2919 0.5801  5 Cr 2.41-2.53, 1 Nb 2.66
Si 0.4350 0.9229 0.3579  4 Cr 2.35-2.42, 1 Si 2.36, 1 Nb 2.58
Si 0.5650 0.0771 0.6421  4 Cr 2.35-2.42, 1 Si 2.36, 1 Nb 2.58
Si 0.7118 0.7081 0.4199  5 Cr 2.41-2.53, 1 Nb 2.66
Si 0.7500 0.7500 0.0000  2 Si 2.43, 4 Cr 2.47, 4 Nb 2.70
Si 0.7882 0.2081 0.9963  5 Cr 2.41-2.53, 1 Nb 2.66
Si 0.9350 0.5771 0.5121  4 Cr 2.35-2.42, 1 Si 2.36, 1 Nb 2.58

Raw total energy = -8.285 eV per atom
Relative energy among the computed polymorphs = 0 meV per atom
E_form = -42.43 kJ per mole of atoms
MP2020-corrected energy = -8.25 eV/atom

***

[2]
Compound: Nb3N2Cl7O5
Source: Materials Project
Functional: PBE
Structure: optimized geometry

Unit cell a=10.3310 b=10.3310 c=11.0317 alpha=103.21 beta=103.21 gamma=50.23
Closest atoms and distances in Å follow each position.
Sites, in units of the cell vectors:
Nb 0.0431 0.9569 0.7500  4 O 1.92-2.13
Nb 0.2633 0.6806 0.4525  3 O 1.82-1.94
Nb 0.3194 0.7367 0.0475  3 O 1.82-1.94
Nb 0.6806 0.2633 0.9525  3 O 1.82-1.94
Nb 0.7367 0.3194 0.5475  3 O 1.82-1.94
Nb 0.9569 0.0431 0.2500  4 O 1.92-2.13
N 0.2990 0.3337 0.1136  1 Cl 1.61
N 0.3337 0.2990 0.6136  1 Cl 1.61
N 0.6663 0.7010 0.3864  1 Cl 1.61
N 0.7010 0.6663 0.8864  1 Cl 1.61
Cl 0.0532 0.2070 0.3010  1 Nb 2.37
Cl 0.1215 0.5709 0.3964  1 Nb 2.28
Cl 0.1792 0.4794 0.0212  1 N 1.61
Cl 0.2070 0.0532 0.8010  1 Nb 2.37
Cl 0.4117 0.5883 0.2500  2 Nb 2.64, 2 O 2.86
Cl 0.4291 0.8785 0.1036  1 Nb 2.28
Cl 0.4794 0.1792 0.5212  1 N 1.61
Cl 0.5206 0.8208 0.4788  1 N 1.61
Cl 0.5709 0.1215 0.8964  1 Nb 2.28
Cl 0.5883 0.4117 0.7500  2 Nb 2.64, 2 O 2.86
Cl 0.7930 0.9468 0.1990  1 Nb 2.37
Cl 0.8208 0.5206 0.9788  1 N 1.61
Cl 0.8785 0.4291 0.6036  1 Nb 2.28
Cl 0.9468 0.7930 0.6990  1 Nb 2.37
O 0.1104 0.8883 0.1261  2 Nb 1.92-1.94
O 0.1117 0.8896 0.3739  2 Nb 1.92-1.94
O 0.2085 0.7846 0.6096  1 Nb 1.82
O 0.2154 0.7915 0.8904  1 Nb 1.82
O 0.5000 0.5000 0.0000  2 Nb 1.94
O 0.5000 0.5000 0.5000  2 Nb 1.94
O 0.7846 0.2085 0.1096  1 Nb 1.82
O 0.7915 0.2154 0.3904  1 Nb 1.82
O 0.8883 0.1104 0.6261  2 Nb 1.92-1.94
O 0.8896 0.1117 0.8739  2 Nb 1.92-1.94

Raw total energy = -6.073 eV per atom
Relative energy among the computed polymorphs = 0 meV per atom
E_form = -125.02 kJ per mole of atoms
Total magnetization = 4.0 μB per formula unit
MP2020-corrected energy = -6.28 eV/atom

***

[3]
Compound: Sn3Sb
Source: Materials Project
Functional: PBE
Structure: optimized geometry

Unit cell a=4.5266 b=4.5266 c=8.5301 alpha=90.00 beta=90.00 gamma=138.77
Closest atoms and distances in Å follow each position.
Sites, in units of the cell vectors:
Sn 0.0000 0.0000 0.0000  6 Sn 3.10-3.19
Sn 0.0000 0.5000 0.2489  4 Sn 3.10-3.19, 2 Sb 3.12
Sn 0.5000 0.0000 0.7511  4 Sn 3.10-3.19, 2 Sb 3.12
Sb 0.5000 0.5000 0.5000  4 Sn 3.12, 2 Sb 3.19

Raw total energy = -4.001 eV per atom
E_form = -0.95 kJ per mole of atoms
MP2020-corrected energy = -4.05 eV/atom

***

[4]
Compound: SmS
Source: Materials Project
Functional: PBE
Structure: optimized geometry

Unit cell a=11.0044 b=11.0044 c=11.0044 alpha=159.49 beta=159.49 gamma=29.17
Closest atoms and distances in Å follow each position.
Sites, in units of the cell vectors:
Sm 0.1926 0.1926 0.0000  5 S 2.80-2.84
Sm 0.8074 0.8074 0.0000  5 S 2.80-2.84
S 0.3258 0.3258 0.0000  5 Sm 2.80-2.84
S 0.6742 0.6742 0.0000  5 Sm 2.80-2.84

Raw total energy = -6.219 eV per atom
Relative energy among the computed polymorphs = 231 meV per atom
E_form = -197.11 kJ per mole of atoms
Total magnetization = 0.0 μB per formula unit
MP2020-corrected energy = -6.47 eV/atom

***

Q: raw total energy of number 4 (SmS)?
A: -6.219 eV per atom

***

Please write out number 3 again, unchanged.
Compound: Sn3Sb
Source: Materials Project
Functional: PBE
Structure: optimized geometry

Unit cell a=4.5266 b=4.5266 c=8.5301 alpha=90.00 beta=90.00 gamma=138.77
Closest atoms and distances in Å follow each position.
Sites, in units of the cell vectors:
Sn 0.0000 0.0000 0.0000  6 Sn 3.10-3.19
Sn 0.0000 0.5000 0.2489  4 Sn 3.10-3.19, 2 Sb 3.12
Sn 0.5000 0.0000 0.7511  4 Sn 3.10-3.19, 2 Sb 3.12
Sb 0.5000 0.5000 0.5000  4 Sn 3.12, 2 Sb 3.19

Raw total energy = -4.001 eV per atom
E_form = -0.95 kJ per mole of atoms
MP2020-corrected energy = -4.05 eV/atom